This record from Materials Project describes a geometry-optimized AlAu2 structure. The functional is PBE-GGA.

Output
SG: Pnma
E_tot: -3.748 eV/atom
energy of formation: -92 kJ/mol of formula units

Geometry as POSCAR:
```
AlAu2
1.0
3.278 0.000 0.000
0.000 6.870 0.000
0.000 0.000 9.083
Al Au
4 8
Direct
0.750 0.870 0.220 Al
0.250 0.130 0.780 Al
0.250 0.630 0.720 Al
0.750 0.370 0.280 Al
0.750 0.350 0.577 Au
0.750 0.914 0.616 Au
0.250 0.086 0.384 Au
0.250 0.586 0.116 Au
0.750 0.850 0.923 Au
0.250 0.150 0.077 Au
0.750 0.414 0.884 Au
0.250 0.650 0.423 Au
```

=====

This record from Materials Project describes a geometry-optimized AlAu2 structure. The functional is PBE-GGA.

Output
SG: Pnnm
E_tot: -3.744 eV/atom
energy of formation: -91 kJ/mol of formula units

Geometry as POSCAR:
```
AlAu2
1.0
3.311 0.000 0.000
0.000 9.014 0.000
0.000 0.000 17.083
Al Au
10 20
Direct
0.000 0.000 0.000 Al
0.500 0.500 0.500 Al
0.000 0.976 0.201 Al
0.000 0.024 0.799 Al
0.500 0.476 0.299 Al
0.500 0.524 0.701 Al
0.000 0.026 0.401 Al
0.000 0.974 0.599 Al
0.500 0.526 0.099 Al
0.500 0.474 0.901 Al
0.000 0.345 0.013 Au
0.000 0.655 0.987 Au
0.500 0.845 0.487 Au
0.500 0.155 0.513 Au
0.000 0.358 0.187 Au
0.000 0.642 0.813 Au
0.500 0.858 0.313 Au
0.500 0.142 0.687 Au
0.000 0.324 0.404 Au
0.000 0.676 0.596 Au
0.500 0.824 0.096 Au
0.500 0.176 0.904 Au
0.000 0.366 0.605 Au
0.000 0.634 0.395 Au
0.500 0.866 0.895 Au
0.500 0.134 0.105 Au
0.000 0.334 0.787 Au
0.000 0.666 0.213 Au
0.500 0.834 0.713 Au
0.500 0.166 0.287 Au
```

=====

This record from Materials Project describes a geometry-optimized AlAu structure. The functional is PBE-GGA.

Output
SG: P2_1/m
E_tot: -3.905 eV/atom
energy of formation: -76 kJ/mol of formula units

Geometry as POSCAR:
```
AlAu
1.0
-3.411 0.000 0.000
0.000 -6.412 0.000
0.000 0.281 6.450
Al Au
4 4
Direct
0.750 0.550 0.820 Al
0.250 0.450 0.180 Al
0.750 0.922 0.319 Al
0.250 0.078 0.681 Al
0.750 0.308 0.478 Au
0.250 0.692 0.522 Au
0.750 0.189 0.003 Au
0.250 0.811 0.997 Au
```

=====

This record from Materials Project describes a geometry-optimized AlAu structure. The functional is PBE-GGA.

Output
SG: Pm-3m
E_tot: -3.753 eV/atom
energy of formation: -47 kJ/mol of formula units

Geometry as POSCAR:
```
AlAu
1.0
3.224 0.000 0.000
0.000 3.224 0.000
0.000 0.000 3.224
Al Au
1 1
Direct
0.000 0.000 0.000 Al
0.500 0.500 0.500 Au
```

=====

Which value of E_tot does entry 2 give? -3.744 eV/atom

=====

Which value of E_tot does entry 3 give? -3.905 eV/atom

=====

Which of these has the lowest E_tot? number 3